(1)
The following is a DFT calculation (PBE) of a relaxed Pu2InPt2 crystal.

Formation energy from the elements ... -3.70 eV per formula unit

Structure (POSCAR):
```
Pu2InPt2
1.0
7.915 0.000 0.000
0.000 7.915 0.000
0.000 0.000 3.761
Pu In Pt
4 2 4
direct
0.668 0.168 0.500
0.168 0.332 0.500
0.332 0.832 0.500
0.832 0.668 0.500
0.000 0.000 0.000
0.500 0.500 0.000
0.866 0.366 0.000
0.634 0.866 0.000
0.134 0.634 0.000
0.366 0.134 0.000
```

---

(2)
The following is a DFT calculation (PBE) of a relaxed ErAl crystal.

Formation energy from the elements ... -0.82 eV per formula unit

Structure (POSCAR):
```
ErAl
1.0
5.587 0.000 0.000
0.000 5.822 0.000
0.000 0.000 11.327
Er Al
8 8
direct
0.750 0.161 0.484
0.250 0.839 0.516
0.250 0.161 0.016
0.750 0.839 0.984
0.750 0.398 0.167
0.250 0.602 0.833
0.250 0.398 0.333
0.750 0.602 0.667
0.500 0.934 0.250
0.000 0.066 0.750
0.500 0.066 0.750
0.000 0.934 0.250
0.750 0.661 0.402
0.250 0.339 0.598
0.250 0.661 0.098
0.750 0.339 0.902
```

---

Repeat the second record exactly.
The following is a DFT calculation (PBE) of a relaxed ErAl crystal.

Formation energy from the elements ... -0.82 eV per formula unit

Structure (POSCAR):
```
ErAl
1.0
5.587 0.000 0.000
0.000 5.822 0.000
0.000 0.000 11.327
Er Al
8 8
direct
0.750 0.161 0.484
0.250 0.839 0.516
0.250 0.161 0.016
0.750 0.839 0.984
0.750 0.398 0.167
0.250 0.602 0.833
0.250 0.398 0.333
0.750 0.602 0.667
0.500 0.934 0.250
0.000 0.066 0.750
0.500 0.066 0.750
0.000 0.934 0.250
0.750 0.661 0.402
0.250 0.339 0.598
0.250 0.661 0.098
0.750 0.339 0.902
```

---

- What is the formula in the first record?
  Pu2InPt2